Entry from the Materials Project database: a geometry-optimized SbHO3 structure (PBE-GGA).

Cell lengths 7.6088, 7.3402, 7.3392 Å; angles 62.44, 58.79, 58.77 degrees
Atoms (fractional coordinates):
Sb 0.0006 0.4994 0.2488
Sb 0.0012 0.9988 0.2494
Sb 0.4994 0.0006 0.2512
Sb 0.9988 0.0012 0.7506
H 0.0690 0.5899 0.8333
H 0.4167 0.7422 0.1810
H 0.5899 0.0690 0.5078
H 0.7422 0.4167 0.6601
O 0.0617 0.0617 0.9383
O 0.0721 0.6838 0.3063
O 0.0826 0.6611 0.9084
O 0.3117 0.3117 0.1883
O 0.3122 0.9437 0.5662
O 0.3416 0.9022 0.1674
O 0.6611 0.0826 0.3478
O 0.6838 0.0721 0.9378
O 0.6835 0.6835 0.3165
O 0.9022 0.3416 0.5889
O 0.9335 0.9335 0.5665
O 0.9437 0.3122 0.1779

***

Entry from the Materials Project database: a geometry-optimized SbHO3 structure (PBE-GGA).

M_tot: 0.0 μB/f.u.

Cell lengths 7.3603, 7.3603, 7.3603 Å; angles 117.61, 117.61, 94.20 degrees
Atoms (fractional coordinates):
Sb 0.0000 0.0000 0.0000
Sb 0.0000 0.0000 0.5000
Sb 0.0000 0.5000 0.0000
Sb 0.5000 0.0000 0.5000
H 0.1826 0.4326 0.7500
H 0.4326 0.1826 0.2500
H 0.5674 0.8174 0.7500
H 0.8174 0.5674 0.2500
O 0.0634 0.3134 0.1268
O 0.0634 0.9366 0.7500
O 0.0852 0.3352 0.7500
O 0.3134 0.0634 0.6268
O 0.3134 0.6866 0.2500
O 0.3352 0.0852 0.2500
O 0.6648 0.9148 0.7500
O 0.6866 0.3134 0.7500
O 0.6866 0.9366 0.3733
O 0.9148 0.6648 0.2500
O 0.9366 0.0634 0.2500
O 0.9366 0.6866 0.8732

***

Entry from the Materials Project database: a geometry-optimized Sr10Sb16H6Se7O30 structure (PBE-GGA).

M_tot: 0.1 μB/f.u.

Cell lengths 11.5265, 18.9302, 14.6186 Å; angles 90.00, 120.18, 90.00 degrees
Atoms (fractional coordinates):
Sr 0.0486 0.1572 0.4526
Sr 0.0486 0.3428 0.9526
Sr 0.1499 0.7442 0.8296
Sr 0.1499 0.7558 0.3296
Sr 0.2400 0.2249 0.2235
Sr 0.2400 0.2751 0.7235
Sr 0.3151 0.7338 0.6596
Sr 0.3151 0.7662 0.1596
Sr 0.4068 0.2268 0.0535
Sr 0.4068 0.2732 0.5535
Sr 0.5932 0.7268 0.4465
Sr 0.5932 0.7732 0.9465
Sr 0.6849 0.2338 0.8404
Sr 0.6849 0.2662 0.3404
Sr 0.7600 0.7249 0.2765
Sr 0.7600 0.7751 0.7765
Sr 0.8501 0.2442 0.6704
Sr 0.8501 0.2558 0.1704
Sr 0.9514 0.6572 0.0474
Sr 0.9514 0.8428 0.5474
Sb 0.0016 0.5893 0.3212
Sb 0.0016 0.9107 0.8212
Sb 0.0445 0.1577 0.9268
Sb 0.0445 0.3423 0.4268
Sb 0.0840 0.0899 0.7136
Sb 0.0840 0.4101 0.2136
Sb 0.2481 0.5914 0.0170
Sb 0.2481 0.9086 0.5170
Sb 0.2554 0.5130 0.6466
Sb 0.2554 0.9870 0.1466
Sb 0.2915 0.5998 0.2800
Sb 0.2915 0.9002 0.7800
Sb 0.3594 0.0967 0.4298
Sb 0.3594 0.4033 0.9298
Sb 0.3886 0.1122 0.6918
Sb 0.3886 0.3878 0.1918
Sb 0.6114 0.6122 0.8082
Sb 0.6114 0.8878 0.3083
Sb 0.6406 0.5967 0.0702
Sb 0.6406 0.9033 0.5702
Sb 0.7085 0.0998 0.2200
Sb 0.7085 0.4002 0.7200
Sb 0.7446 0.0130 0.8534
Sb 0.7446 0.4870 0.3534
Sb 0.7519 0.0914 0.4830
Sb 0.7519 0.4086 0.9830
Sb 0.9160 0.5899 0.7864
Sb 0.9160 0.9101 0.2864
Sb 0.9555 0.6577 0.5732
Sb 0.9555 0.8423 0.0732
Sb 0.9984 0.0893 0.1788
Sb 0.9984 0.4107 0.6788
H 0.3652 0.0631 0.9931
H 0.3652 0.4369 0.4931
H 0.4263 0.6913 0.0403
H 0.4263 0.8087 0.5403
H 0.4582 0.0899 0.9512
H 0.4582 0.4101 0.4512
H 0.5418 0.5899 0.5488
H 0.5418 0.9101 0.0488
H 0.5737 0.1913 0.4597
H 0.5737 0.3087 0.9597
H 0.6348 0.5631 0.5069
H 0.6348 0.9369 0.0069
Se 0.0000 0.0000 0.5000
Se 0.0000 0.5000 0.0000
Se 0.3275 0.5863 0.5322
Se 0.3275 0.9137 0.0322
Se 0.3374 0.5961 0.8096
Se 0.3374 0.9039 0.3096
Se 0.4303 0.0878 0.2297
Se 0.4303 0.4122 0.7297
Se 0.5697 0.5878 0.2703
Se 0.5697 0.9122 0.7703
Se 0.6626 0.0961 0.6904
Se 0.6626 0.4039 0.1904
Se 0.6725 0.0863 0.9678
Se 0.6725 0.4137 0.4678
O 0.0022 0.6816 0.3780
O 0.0022 0.8184 0.8780
O 0.0803 0.6384 0.9032
O 0.0803 0.8616 0.4032
O 0.0856 0.1724 0.8042
O 0.0856 0.3276 0.3042
O 0.0909 0.7315 0.6377
O 0.0909 0.7685 0.1377
O 0.1016 0.6252 0.2496
O 0.1016 0.8748 0.7496
O 0.1688 0.1182 0.3154
O 0.1688 0.3818 0.8154
O 0.1804 0.2230 0.0255
O 0.1804 0.2770 0.5255
O 0.1989 0.1438 0.6728
O 0.1989 0.3562 0.1728
O 0.2205 0.6351 0.1288
O 0.2205 0.8649 0.6288
O 0.2993 0.1273 0.5342
O 0.2993 0.3727 0.0342
O 0.3261 0.6916 0.0156
O 0.3261 0.8084 0.5156
O 0.3530 0.6958 0.3294
O 0.3530 0.8042 0.8294
O 0.3761 0.1022 0.9544
O 0.3761 0.3978 0.4544
O 0.4116 0.1943 0.4213
O 0.4116 0.3057 0.9213
O 0.4408 0.2113 0.7229
O 0.4408 0.2887 0.2229
O 0.5592 0.7113 0.7771
O 0.5592 0.7887 0.2771
O 0.5884 0.6943 0.0787
O 0.5884 0.8057 0.5787
O 0.6239 0.6022 0.5456
O 0.6239 0.8978 0.0456
O 0.6470 0.1958 0.1706
O 0.6470 0.3042 0.6706
O 0.6739 0.1916 0.4844
O 0.6739 0.3084 0.9844
O 0.7007 0.6273 0.9658
O 0.7007 0.8727 0.4658
O 0.7795 0.1351 0.3712
O 0.7795 0.3649 0.8712
O 0.8011 0.6438 0.8272
O 0.8011 0.8562 0.3272
O 0.8196 0.7230 0.4745
O 0.8196 0.7770 0.9745
O 0.8312 0.6182 0.1846
O 0.8312 0.8818 0.6846
O 0.8984 0.1252 0.2504
O 0.8984 0.3748 0.7504
O 0.9091 0.2315 0.8623
O 0.9091 0.2685 0.3623
O 0.9144 0.6724 0.6958
O 0.9144 0.8276 0.1958
O 0.9197 0.1384 0.5968
O 0.9197 0.3616 0.0968
O 0.9978 0.1816 0.1220
O 0.9978 0.3184 0.6220

***

Number 1: calculated volume 14.5 A^3/atom, DFT formation energy -36.72 kcal/mol of atoms, electronic total energy -5.65 eV/atom. Number 2: calculated volume 14.6 A^3/atom, DFT formation energy -36.44 kcal/mol of atoms, electronic total energy -5.64 eV/atom. Number 3: calculated volume 20.0 A^3/atom, DFT formation energy -45.17 kcal/mol of atoms, electronic total energy -5.66 eV/atom.